No. 1
! Ce3SiPd5, relaxed, DFT PBE-GGA; values from VASP
! Mass density ... 9.0 Mg/m³
! ΔE_f ... -0.8436 eV/atom
! Calculated total energy ... -6.30 eV per atom
! M_tot ... 0.0 μB/f.u.
&SYSTEM
  ibrav = 0, nat = 18, ntyp = 3
/
ATOMIC_SPECIES
Pd 106.42 Pd.upf
Ce 140.12 Ce.upf
Si 28.09 Si.upf
CELL_PARAMETERS angstrom
-3.6654 3.7885 6.5335
3.6654 -3.7885 6.5335
3.6654 3.7885 -6.5335
ATOMIC_POSITIONS crystal
Pd 0.1679 0.4026 0.3604
Pd 0.5422 0.9026 0.2346
Pd 0.0000 0.5000 0.0000
Pd 0.1679 0.8076 0.7654
Pd 0.5422 0.3076 0.6396
Pd 0.8321 0.1924 0.2346
Pd 0.4578 0.6924 0.3604
Pd 0.4578 0.0974 0.7654
Pd 0.0000 0.0000 0.5000
Pd 0.8321 0.5974 0.6396
Ce 0.8234 0.0496 0.7738
Ce 0.2242 0.4504 0.7738
Ce 0.7758 0.5496 0.2262
Ce 0.1766 0.9504 0.2262
Ce 0.6176 0.7500 0.8676
Ce 0.3824 0.2500 0.1324
Si 0.7825 0.2500 0.5325
Si 0.2175 0.7500 0.4675

=====

No. 2
! NiAg3, relaxed, DFT PBE-GGA; values from VASP
! Mass density ... 9.8 Mg/m³
! ΔE_f ... 0.1850 eV/atom
! Calculated total energy ... -3.38 eV per atom
! M_tot ... 0.0 μB/f.u.
&SYSTEM
  ibrav = 0, nat = 4, ntyp = 2
/
ATOMIC_SPECIES
Ag 107.87 Ag.upf
Ni 58.69 Ni.upf
CELL_PARAMETERS angstrom
-3.3778 -3.4650 0.7760
-4.4576 2.0110 -0.3214
3.8618 0.1576 -3.0133
ATOMIC_POSITIONS crystal
Ag 0.2500 0.7500 0.5000
Ag 0.5000 0.5000 0.0000
Ag 0.7500 0.2500 0.5000
Ni 0.0000 0.0000 0.0000